## U4Be2C5 (PBE-GGA)

Data for a geometry-optimized U4Be2C5 structure.

Structure (POSCAR):
```
U4Be2C5
1.0
-6.5770 -0.0048 -1.0913
5.0431 -4.1901 -1.2074
-0.7360 -2.1667 4.4451
U Be C
4 2 5
Cartesian
-5.0696 -1.7636 1.1125
0.9545 -2.7175 -1.1666
-2.4884 -1.4774 -1.1322
2.7997 -4.5980 1.0339
-1.1349 -3.1808 1.0732
0.0000 0.0000 0.0000
-2.8375 -2.5676 1.0902
3.2706 -3.5517 -1.1897
0.5676 -3.7941 1.0562
-4.8045 -0.6432 -1.1090
-0.3680 -1.0834 2.2226
```

Results
- Space-group type: Cmmm, No. 65
- Offset from the most stable computed form: 0.314 eV per atom
- Spin magnetization: 4.61 μB/cell
- Calculated formation energy: 0.2276 eV per atom

## Gd2AlCd (PBE-GGA)

Data for a geometry-optimized Gd2AlCd structure.

Structure (POSCAR):
```
Gd2AlCd
1.0
0.0000 3.7293 3.7293
3.7293 0.0000 3.7293
3.7293 3.7293 0.0000
Gd Al Cd
2 1 1
Cartesian
1.8647 1.8647 1.8647
5.5940 5.5940 5.5940
3.7293 3.7293 3.7293
0.0000 0.0000 0.0000
```

Results
- Space-group type: Fm-3m, No. 225
- Calculated formation energy: -0.3684 eV per atom

> calculated formation energy of number 2 (Gd2AlCd)?

-0.3684 eV per atom